Record 1
PBE HoTiFe11N, relaxed; size of the total moment = 23.23 μB/cell; calculated volume = 175.5 Å³ per cell; energy of formation = -0.208 eV/atom
1.0
-2.396 4.293 4.265
2.396 -4.293 4.265
2.396 4.293 -4.265
Ho Ti Fe N
1 1 11 1
Direct
0.000 0.000 0.000
0.371 0.371 0.000
0.004 0.005 0.498
0.004 0.506 0.999
0.229 0.729 0.500
0.231 0.509 0.722
0.365 0.006 0.359
0.507 0.005 0.001
0.507 0.506 0.502
0.648 0.006 0.641
0.649 0.649 0.000
0.781 0.281 0.500
0.786 0.509 0.278
0.005 0.505 0.500



Record 2
PBE HoFe11Re, relaxed; size of the total moment = 22.01 μB/cell; calculated volume = 167.8 Å³ per cell; energy of formation = -0.023 eV/atom
1.0
-2.343 4.216 4.245
2.343 -4.216 4.245
2.343 4.216 -4.245
Ho Fe Re
1 11 1
Direct
0.000 0.000 0.000
0.003 0.004 0.499
0.003 0.504 0.000
0.230 0.506 0.724
0.232 0.732 0.500
0.364 0.005 0.359
0.504 0.004 0.000
0.504 0.504 0.501
0.645 0.645 0.000
0.646 0.005 0.641
0.778 0.278 0.500
0.782 0.506 0.276
0.365 0.365 0.000



Record 3
PBE HoFeRu, relaxed; calculated volume = 97.8 Å³ per cell; energy of formation = -0.238 eV/atom
1.0
-2.544 2.674 3.595
2.544 -2.674 3.595
2.544 2.674 -3.595
Ho Fe Ru
2 2 2
Direct
0.372 0.122 0.250
0.628 0.878 0.750
0.000 0.000 0.500
0.000 0.500 0.000
0.000 0.500 0.500
0.500 0.500 0.000



Among the records above, which one has the lowest energy of formation?
HoFeRu